(1)
This record from Materials Project describes a geometry-optimized Cs2S5O12 structure. The functional is GGA-PBE.

```
76
Lattice="-0.447 10.728 4.294 -6.100 -3.869 9.031 9.815 -1.916 5.808" Properties=species:S:1:pos:R:3 pbc="T T T"
S 1.188 -0.334 9.782
O -2.111 -0.611 3.633
S 5.198 6.843 9.068
O 0.923 1.104 10.585
O 3.066 -0.852 2.811
S -3.672 7.553 11.368
Cs -0.463 0.026 13.644
O 4.172 -0.808 13.730
S 1.055 1.595 6.174
O 7.213 0.904 5.592
O 1.024 -0.099 8.347
O 3.738 4.842 12.337
O 5.463 2.796 8.453
Cs 4.757 -0.515 7.621
O 0.651 8.962 8.119
O -0.451 -3.415 12.868
O 0.138 -1.149 10.381
O 3.566 6.895 13.670
S -2.274 0.806 4.495
O 2.571 0.013 15.445
O -2.361 3.926 13.623
O 0.145 7.782 3.725
Cs 2.655 4.017 15.546
S 8.994 2.959 7.914
S -1.353 -4.189 11.528
Cs 1.616 6.051 6.461
S -0.647 4.067 8.958
O 6.179 -1.046 10.836
O -0.811 3.250 15.359
O 5.719 5.556 13.475
O -3.539 -1.360 11.502
O -3.554 1.052 11.956
O 4.844 6.948 11.612
S 4.346 6.113 12.710
O -2.566 8.110 10.251
Cs 0.509 7.097 11.652
O -4.054 6.223 10.882
S 0.985 -3.932 13.540
O 1.327 3.449 4.415
O -0.392 3.387 7.688
O -1.509 7.220 5.450
S -2.865 8.455 8.520
O 8.585 3.727 9.479
O 0.501 3.666 2.082
O 4.754 1.213 14.935
O 7.819 -0.144 9.248
O 2.570 -0.697 10.114
O 0.767 4.079 9.842
O 2.808 8.213 9.019
O -0.875 5.501 8.836
S 3.864 -2.295 11.657
O 6.915 -1.447 4.953
O 3.878 4.713 8.493
O 2.540 -0.242 5.162
S 1.852 3.639 3.059
O 2.826 1.261 13.418
O 7.607 5.951 8.960
O -0.862 5.667 14.570
Cs 6.299 2.476 11.857
O -2.404 -3.133 8.278
O 1.963 -3.831 12.452
S 2.439 -1.394 4.259
S 8.622 5.356 9.836
O -4.367 -2.260 7.090
Cs -2.493 0.334 8.640
O -1.598 3.320 9.789
S -3.581 3.743 11.368
O 3.465 2.616 9.760
O 0.088 3.959 13.188
O -1.280 0.706 5.569
S 3.681 0.460 14.284
S 4.087 3.267 8.356
Cs 0.190 0.288 1.115
S 1.760 2.663 10.306
S -0.999 4.058 14.154
O 3.340 2.721 7.222
```

Summary:
SG: No. 198


(2)
This record from Materials Project describes a geometry-optimized CsSO4 structure. The functional is GGA-PBE.

```
24
Lattice="-8.136 -0.371 -0.188 -0.073 -1.355 5.825 2.552 9.519 2.246" Properties=species:S:1:pos:R:3 pbc="T T T"
O -1.970 6.327 6.076
O -4.504 5.053 3.934
O -1.153 2.741 3.948
O 0.131 4.074 5.477
S -3.111 7.236 6.282
S -0.318 2.676 5.191
O 1.657 6.401 3.068
O -7.314 1.392 4.814
Cs -6.798 0.783 1.593
Cs -1.456 5.710 2.884
O -1.134 2.272 6.378
O -5.788 3.719 2.405
O -4.523 5.522 1.504
O -5.215 -0.905 4.407
O -0.442 8.698 3.475
O -1.682 1.044 0.477
S -5.339 5.117 2.691
O -1.761 0.393 2.863
Cs 1.141 7.010 6.289
Cs -4.201 2.083 4.998
O -3.896 7.401 5.019
O -3.687 1.467 1.806
S -2.546 0.558 1.600
O -3.975 6.750 7.405
```

Summary:
SG: No. 14


(3)
This record from Materials Project describes a geometry-optimized CsSO4 structure. The functional is GGA-PBE.

```
24
Lattice="-0.048 0.000 7.946 7.428 0.000 -2.899 0.000 8.297 0.000" Properties=species:S:1:pos:R:3 pbc="T T T"
Cs 5.749 1.028 4.002
S 1.861 3.046 1.086
O 0.753 2.115 0.804
O 1.390 8.262 5.886
Cs 1.631 7.270 1.045
O 2.437 3.590 -0.195
O 4.967 7.738 1.269
O 0.729 2.033 4.777
O 6.652 6.264 0.270
S 5.544 7.194 -0.012
S 1.836 1.103 5.059
O 5.990 0.035 -0.839
O 6.627 6.182 4.243
O 1.414 4.183 1.913
O 5.966 4.114 3.134
Cs 1.607 5.176 5.018
O 3.022 2.322 1.694
S 5.520 5.251 3.961
O 4.359 5.975 3.353
Cs 5.773 3.121 0.029
O 4.943 4.708 5.242
O 2.998 1.827 5.667
O 2.413 0.559 3.778
O 4.383 6.470 -0.620
```

Summary:
SG: No. 14


(4)
This record from Materials Project describes a geometry-optimized Cs5S4O16 structure. The functional is GGA-PBE.

```
50
Lattice="-4.884 3.709 -1.360 5.309 1.000 -3.204 -9.145 -19.875 -21.360" Properties=species:S:1:pos:R:3 pbc="T T T"
S -9.212 -13.363 -19.378
O -4.649 -17.358 -23.075
Cs -2.331 -7.412 -12.596
S -0.731 -4.464 -9.405
O -9.484 -14.373 -20.446
Cs -6.388 -7.754 -13.328
O -4.640 -7.742 -10.181
O -5.966 1.270 -3.977
O -4.079 -7.424 -15.743
O 1.146 -1.380 -7.807
Cs -6.197 -15.270 -21.064
Cs -4.067 -10.638 -16.087
O -7.729 -13.317 -19.192
O -4.373 -4.784 -13.047
O -2.754 -16.436 -21.947
O -0.416 -11.357 -16.488
O -8.729 -9.909 -17.528
O -4.070 2.192 -2.849
O -7.868 -18.037 -21.104
Cs -10.378 -16.426 -22.647
O -4.346 -10.382 -12.877
S -7.988 -10.703 -16.519
O -7.576 -5.428 -11.038
O -1.853 -3.726 -8.748
O -9.707 -12.035 -19.813
Cs -6.959 -1.316 -6.738
O 0.765 -0.793 -5.478
Cs -4.653 -4.528 -9.837
O -1.118 -0.087 -1.954
Cs -2.522 0.103 -4.859
Cs -1.760 -13.850 -19.186
O -0.851 2.870 -4.820
O 0.988 -3.131 -6.110
S -13.344 -14.709 -21.152
S 0.493 -1.803 -6.546
O -6.866 -11.440 -17.176
O -0.990 -1.849 -6.732
S -10.116 -7.693 -13.612
O -1.143 -9.738 -14.885
Cs 1.659 1.260 -3.277
S 1.397 -7.473 -12.312
O 0.168 -3.507 -10.093
O -8.303 -3.810 -9.436
O -1.347 -5.383 -10.411
O -8.887 -11.660 -15.831
O 0.010 -5.258 -8.396
S 4.625 -0.457 -4.772
O -9.866 -13.786 -18.116
O -7.601 -15.079 -23.970
O -7.373 -9.784 -15.513
```

Summary:
SG: No. 63


(5)
This record from Materials Project describes a geometry-optimized CsScS2O8 structure. The functional is GGA-PBE.

```
12
Lattice="-4.855 1.065 -1.681 0.904 -0.729 5.117 1.572 8.678 0.958" Properties=species:S:1:pos:R:3 pbc="T T T"
Cs 0.786 4.339 0.479
O -0.085 0.862 4.173
O -0.289 7.713 0.916
S -1.681 7.389 1.349
O -1.842 7.788 2.780
S -0.697 1.626 3.045
O -0.439 3.053 3.202
Sc 0.000 0.000 0.000
O -2.638 8.182 0.520
O -1.940 5.962 1.192
O -0.114 1.134 1.761
O -2.168 1.365 3.033
```

Summary:
SG: No. 150


(6)
This record from Materials Project describes a geometry-optimized Cs2TeSO10 structure. The functional is GGA-PBE.

```
56
Lattice="7.643 0.000 0.000 0.000 12.734 0.000 0.000 4.407 12.018" Properties=species:S:1:pos:R:3 pbc="T T T"
O 2.964 7.856 0.905
Cs 3.604 6.540 4.446
O 6.336 5.821 11.832
Cs 7.570 8.730 1.528
O 5.605 14.254 6.301
O 5.860 7.887 6.301
Te 0.000 8.570 6.009
O 0.338 7.198 7.321
S 3.775 6.467 8.967
O 3.687 5.515 10.118
O 4.160 3.576 4.697
Cs 0.218 12.906 4.446
O 7.305 9.942 4.697
O 4.679 9.284 11.113
O 1.307 11.319 0.186
O 0.853 5.104 10.447
Te 0.000 0.000 0.000
Te 3.822 2.203 6.009
S 7.597 4.307 3.052
O 2.969 11.471 10.447
O 0.857 1.489 0.905
S 3.868 10.674 3.052
O 7.509 5.258 1.900
O 0.492 7.369 4.573
O 6.790 12.036 1.572
O 6.786 15.651 11.113
O 2.038 2.887 5.717
O 4.480 9.366 2.748
O 3.163 7.775 9.270
O 7.151 9.772 7.446
O 4.313 3.405 7.446
Cs 3.749 14.777 10.491
Cs 3.894 2.364 1.528
O 5.128 12.188 11.832
O 0.695 12.302 7.747
O 1.783 9.254 5.717
O 2.384 10.580 3.214
O 6.985 2.999 2.748
Cs 0.073 8.410 10.491
O 4.674 5.669 1.572
O 1.438 4.213 3.214
Te 3.822 6.367 0.000
O 3.956 11.625 1.900
Cs 4.039 10.601 7.572
S 0.046 12.834 8.967
O 6.205 12.927 8.804
O 6.948 4.838 4.271
O 3.127 5.936 7.747
O 4.516 11.205 4.271
O 5.259 6.560 8.804
O 2.515 4.952 0.186
O 0.134 11.882 10.118
O 3.330 13.736 4.573
O 0.658 14.142 9.270
Cs 7.425 4.234 7.572
O 3.483 13.565 7.321
```

Summary:
SG: No. 14


(7)
This record from Materials Project describes a geometry-optimized Cs4Sb2O5 structure. The functional is GGA-PBE.

```
11
Lattice="3.529 5.437 0.000 -3.529 5.437 0.000 0.000 1.117 8.228" Properties=species:S:1:pos:R:3 pbc="T T T"
O -1.507 6.978 1.573
Sb 0.000 7.416 2.715
O 1.507 6.978 1.573
O -1.513 5.352 6.476
Cs 0.000 8.185 6.966
O 1.513 5.352 6.476
O 0.000 5.705 3.828
Cs 0.000 0.564 4.117
Cs 0.000 3.834 1.262
Cs 0.000 10.824 0.039
Sb 0.000 4.591 5.527
```

Summary:
SG: No. 8


(8)
This record from Materials Project describes a geometry-optimized Cs3SbO3 structure. The functional is GGA-PBE.

```
28
Lattice="-6.133 4.251 -5.649 -4.538 -8.101 -1.170 -5.421 1.972 7.370" Properties=species:S:1:pos:R:3 pbc="T T T"
O -3.461 -0.741 3.134
Cs -11.018 0.995 -2.588
Cs -10.244 -4.912 -0.120
O -7.187 -1.215 -1.467
Sb -8.477 4.077 4.541
O -6.982 -2.121 1.425
Cs -6.542 0.126 3.744
Cs -9.712 2.880 0.726
Sb -8.394 0.209 -6.213
O -3.379 -2.852 -1.672
Cs -0.215 -0.025 0.007
Cs -9.197 -2.723 -3.338
O -12.449 1.636 -0.158
Sb -8.069 -0.942 0.276
O -9.520 -1.410 -6.165
O -7.348 0.824 0.778
Sb -7.243 -7.100 2.498
O -9.904 4.650 3.305
Cs -10.705 0.186 3.802
O -3.964 2.332 -1.092
Cs -4.392 -0.513 0.150
O -11.918 -3.434 -1.957
Cs -8.882 -3.401 3.563
Cs -6.188 -4.237 -0.770
Cs -12.507 -1.460 0.428
O -11.854 -2.430 3.354
Cs -6.946 1.815 -2.300
O -8.583 -6.509 3.818
```

Summary:
SG: No. 198


(9)
This record from Materials Project describes a geometry-optimized CsSbO2 structure. The functional is GGA-PBE.

```
8
Lattice="-1.060 -3.437 -5.475 4.086 -3.959 3.247 -2.645 -4.858 1.269" Properties=species:S:1:pos:R:3 pbc="T T T"
O 1.749 -7.098 -1.969
O 0.873 -9.572 -0.576
Cs -1.229 -7.265 -1.447
O -0.493 -2.682 -0.382
Cs 1.610 -4.990 0.489
O -1.368 -5.156 1.010
Sb -1.320 -4.692 -4.477
Sb 1.701 -7.562 3.519
```

Summary:
SG: No. 15


(10)
This record from Materials Project describes a geometry-optimized CsSbO3 structure. The functional is GGA-PBE.

```
5
Lattice="-0.389 3.171 -2.719 -3.848 0.790 1.472 1.625 2.631 2.835" Properties=species:S:1:pos:R:3 pbc="T T T"
O 0.618 2.901 0.058
Cs 0.000 0.000 0.000
O -1.112 1.710 2.154
Sb -1.306 3.296 0.794
O -2.119 1.980 -0.623
```

Summary:
SG: No. 221


Energy of formation from the pure elements readings, ordered: -1.41 -1.88 -1.88 -2.00 -2.51 -1.18 -1.81 -1.77 -1.86 -1.62 eV per atom
E (MP2020) readings, ordered: -434.43 -144.53 -144.50 -300.20 -85.26 -300.30 -56.45 -136.28 -44.70 -27.95 eV for the cell shown
V readings, ordered: 1547 470 489 1076 212 1170 316 820 202 74 Å³/cell